[1]
ZrAl: relaxed, PBE.

abc: 3.3552 10.9547 4.3053
angles: 90.00 90.00 90.00
Space group Cmcm (No. 63)
Unique sites:
Zr 0.0000 0.1600 0.2500 (multiplicity 4)
Al 0.0000 0.4289 0.2500 (multiplicity 4)

Properties
Crystal system: orthorhombic
Energy relative to the elements: -0.4706 eV/atom
Raw total energy: -6.62 eV per atom



[2]
CeCrSe3: relaxed, PBE.

abc: 8.1498 3.9762 13.6474
angles: 90.00 90.00 90.00
Space group Pnma (No. 62)
Unique sites:
Ce 0.0943 0.2500 0.1720 (multiplicity 4)
Cr 0.1613 0.7500 0.4480 (multiplicity 4)
Se 0.0144 0.7500 0.6093 (multiplicity 4)
Se 0.1570 0.7500 0.0056 (multiplicity 4)
Se 0.1885 0.2500 0.7865 (multiplicity 4)

Properties
Crystal system: orthorhombic
Energy relative to the elements: -1.4720 eV/atom
Raw total energy: -6.40 eV per atom



[3]
TiAl3: relaxed, PBE.

abc: 3.8440 3.8440 8.6020
angles: 90.00 90.00 90.00
Space group I4/mmm (No. 139)
Unique sites:
Ti 0.0000 0.0000 0.0000 (multiplicity 2)
Al 0.0000 0.0000 0.5000 (multiplicity 2)
Al 0.0000 0.5000 0.2500 (multiplicity 4)

Properties
Crystal system: tetragonal
Energy relative to the elements: -0.3983 eV/atom
Raw total energy: -5.18 eV per atom



[4]
Na3Zn3GePS5O24: relaxed, PBE.

abc: 8.6589 8.6818 22.3397
angles: 89.59 89.61 60.29
Space group P1 (No. 1)
Unique sites:
Na 0.0000 0.0000 0.0000 (multiplicity 1)
Na 0.0042 0.0000 0.5069 (multiplicity 1)
Na 0.3202 0.3549 0.3406 (multiplicity 1)
Na 0.3313 0.3459 0.8371 (multiplicity 1)
Na 0.6347 0.0099 0.2582 (multiplicity 1)
Na 0.6463 0.6970 0.6735 (multiplicity 1)
Na 0.6644 0.6769 0.1741 (multiplicity 1)
Na 0.6989 0.3438 0.0870 (multiplicity 1)
Na 0.9667 0.3400 0.5914 (multiplicity 1)
Zn 0.0009 0.0090 0.3579 (multiplicity 1)
Zn 0.0075 0.0026 0.1579 (multiplicity 1)
Zn 0.0106 0.9993 0.6588 (multiplicity 1)
Zn 0.3217 0.3499 0.1913 (multiplicity 1)
Zn 0.3359 0.3337 0.6928 (multiplicity 1)
Zn 0.6497 0.6915 0.5235 (multiplicity 1)
Zn 0.6641 0.6678 0.3275 (multiplicity 1)
Zn 0.6679 0.6775 0.0184 (multiplicity 1)
Zn 0.9892 0.0095 0.8590 (multiplicity 1)
Ge 0.3248 0.3538 0.9823 (multiplicity 1)
Ge 0.3298 0.3392 0.4918 (multiplicity 1)
Ge 0.6734 0.6649 0.8262 (multiplicity 1)
P 0.3330 0.0506 0.5908 (multiplicity 1)
P 0.6630 0.3843 0.9263 (multiplicity 1)
P 0.9566 0.6754 0.9245 (multiplicity 1)
S 0.0432 0.6339 0.5889 (multiplicity 1)
S 0.0436 0.3428 0.0887 (multiplicity 1)
S 0.2929 0.0085 0.2572 (multiplicity 1)
S 0.3003 0.7133 0.7599 (multiplicity 1)
S 0.3277 0.6352 0.0885 (multiplicity 1)
S 0.3663 0.6690 0.4259 (multiplicity 1)
S 0.3735 0.9714 0.9245 (multiplicity 1)
S 0.6172 0.0518 0.0894 (multiplicity 1)
S 0.6190 0.3427 0.5891 (multiplicity 1)
S 0.6596 0.9801 0.4242 (multiplicity 1)
S 0.7029 0.0026 0.7588 (multiplicity 1)
S 0.7036 0.3070 0.2557 (multiplicity 1)
S 0.9650 0.3809 0.4266 (multiplicity 1)
S 0.9914 0.3107 0.7586 (multiplicity 1)
S 0.9977 0.7147 0.2577 (multiplicity 1)
O 0.0164 0.1994 0.8109 (multiplicity 1)
O 0.0233 0.1818 0.0917 (multiplicity 1)
O 0.0234 0.7961 0.3111 (multiplicity 1)
O 0.0239 0.8108 0.5924 (multiplicity 1)
O 0.1230 0.5224 0.6422 (multiplicity 1)
O 0.1236 0.3668 0.1426 (multiplicity 1)
O 0.1457 0.3391 0.7536 (multiplicity 1)
O 0.1463 0.4962 0.9294 (multiplicity 1)
O 0.1486 0.3678 0.4314 (multiplicity 1)
O 0.1569 0.3144 0.0332 (multiplicity 1)
O 0.1567 0.5366 0.2519 (multiplicity 1)
O 0.1576 0.0427 0.5928 (multiplicity 1)
O 0.1585 0.5522 0.5327 (multiplicity 1)
O 0.1671 0.8100 0.0929 (multiplicity 1)
O 0.1856 0.0353 0.3111 (multiplicity 1)
O 0.1867 0.8244 0.4196 (multiplicity 1)
O 0.1916 0.7957 0.8128 (multiplicity 1)
O 0.1957 0.9951 0.9161 (multiplicity 1)
O 0.2163 0.9825 0.2022 (multiplicity 1)
O 0.2307 0.8186 0.7042 (multiplicity 1)
O 0.2900 0.1796 0.5323 (multiplicity 1)
O 0.2994 0.5503 0.0334 (multiplicity 1)
O 0.3173 0.1679 0.2525 (multiplicity 1)
O 0.3242 0.5333 0.7531 (multiplicity 1)
O 0.3518 0.4998 0.4326 (multiplicity 1)
O 0.3589 0.1376 0.6450 (multiplicity 1)
O 0.3600 0.1538 0.9294 (multiplicity 1)
O 0.3622 0.5216 0.1421 (multiplicity 1)
O 0.4477 0.6947 0.4790 (multiplicity 1)
O 0.4476 0.8690 0.9793 (multiplicity 1)
O 0.4731 0.6354 0.3705 (multiplicity 1)
O 0.4756 0.8497 0.2624 (multiplicity 1)
O 0.4848 0.6997 0.7665 (multiplicity 1)
O 0.4864 0.3674 0.9303 (multiplicity 1)
O 0.4905 0.6506 0.0826 (multiplicity 1)
O 0.4904 0.8924 0.8699 (multiplicity 1)
O 0.4919 0.1623 0.4314 (multiplicity 1)
O 0.4974 0.8690 0.5829 (multiplicity 1)
O 0.5096 0.3744 0.6425 (multiplicity 1)
O 0.5172 0.1303 0.1456 (multiplicity 1)
O 0.5227 0.1587 0.7537 (multiplicity 1)
O 0.5244 0.3200 0.2515 (multiplicity 1)
O 0.5304 0.1759 0.0358 (multiplicity 1)
O 0.5352 0.3148 0.5329 (multiplicity 1)
O 0.6213 0.5117 0.8700 (multiplicity 1)
O 0.6259 0.9095 0.3683 (multiplicity 1)
O 0.6334 0.8774 0.0833 (multiplicity 1)
O 0.6453 0.4981 0.5815 (multiplicity 1)
O 0.6840 0.4603 0.9848 (multiplicity 1)
O 0.6850 0.4847 0.2619 (multiplicity 1)
O 0.6862 0.8341 0.7660 (multiplicity 1)
O 0.6875 0.8685 0.4766 (multiplicity 1)
O 0.7834 0.0290 0.8122 (multiplicity 1)
O 0.7868 0.1907 0.3080 (multiplicity 1)
O 0.7953 0.0411 0.0921 (multiplicity 1)
O 0.7961 0.1810 0.5924 (multiplicity 1)
O 0.8049 0.2306 0.1990 (multiplicity 1)
O 0.8090 0.9709 0.7035 (multiplicity 1)
O 0.8163 0.0045 0.4184 (multiplicity 1)
O 0.8213 0.4937 0.7652 (multiplicity 1)
O 0.8240 0.2025 0.9168 (multiplicity 1)
O 0.8323 0.7002 0.2632 (multiplicity 1)
O 0.8511 0.7048 0.9813 (multiplicity 1)
O 0.8606 0.4601 0.4814 (multiplicity 1)
O 0.8631 0.5005 0.0844 (multiplicity 1)
O 0.8691 0.6419 0.5810 (multiplicity 1)
O 0.8726 0.6356 0.8676 (multiplicity 1)
O 0.8889 0.4902 0.3724 (multiplicity 1)
O 0.9580 0.2429 0.7021 (multiplicity 1)
O 0.9633 0.8258 0.2028 (multiplicity 1)
O 0.9885 0.2014 0.4202 (multiplicity 1)
O 0.9886 0.8305 0.9155 (multiplicity 1)

Properties
Crystal system: triclinic
Energy relative to the elements: -2.0083 eV/atom
Raw total energy: -5.81 eV per atom



[5]
Y2O3: relaxed, PBE.

abc: 5.8288 5.8288 15.2638
angles: 90.00 90.00 120.00
Space group R-3c (No. 167, hexagonal axes)
Unique sites:
Y 0.0000 0.0000 0.1419 (multiplicity 12)
O 0.0000 0.2930 0.2500 (multiplicity 18)

Properties
Crystal system: trigonal
Energy relative to the elements: -3.9194 eV/atom
Raw total energy: -9.06 eV per atom



[6]
KHO: relaxed, PBE.

abc: 5.9911 3.9791 8.0463
angles: 90.00 113.37 90.00
Space group P2_1/c (No. 14)
Unique sites:
K 0.2082 0.2461 0.4372 (multiplicity 4)
H 0.4290 0.6487 0.7357 (multiplicity 4)
O 0.2767 0.7345 0.2129 (multiplicity 4)

Properties
Crystal system: monoclinic
Energy relative to the elements: -1.5516 eV/atom
Raw total energy: -4.47 eV per atom



[7]
NaLi2Ru6O12: relaxed, PBE.

abc: 9.5732 9.5732 2.7646
angles: 90.00 90.00 120.00
Space group P-3 (No. 147)
Unique sites:
Na 0.0000 0.0000 0.0000 (multiplicity 1)
Li 0.3333 0.6667 0.2508 (multiplicity 2)
Ru 0.0164 0.3583 0.2499 (multiplicity 6)
O 0.1064 0.8121 0.2515 (multiplicity 6)
O 0.1329 0.5437 0.7487 (multiplicity 6)

Properties
Crystal system: trigonal
Energy relative to the elements: -1.5113 eV/atom
Raw total energy: -6.84 eV per atom
ΔE to the lowest computed polymorph: 25.0 meV/atom



[8]
Ca2Al4Si8O33: relaxed, PBE.

abc: 7.5820 10.0031 10.1068
angles: 82.97 74.83 75.37
Space group P1 (No. 1)
Unique sites:
Ca 0.0000 0.0000 0.0000 (multiplicity 1)
Ca 0.4502 0.5138 0.5213 (multiplicity 1)
Al 0.4542 0.4322 0.8263 (multiplicity 1)
Al 0.4572 0.8212 0.4357 (multiplicity 1)
Al 0.9894 0.6888 0.0823 (multiplicity 1)
Al 0.9915 0.0761 0.6937 (multiplicity 1)
Si 0.0397 0.5581 0.7981 (multiplicity 1)
Si 0.0414 0.7928 0.5610 (multiplicity 1)
Si 0.4046 0.7161 0.9577 (multiplicity 1)
Si 0.4066 0.9503 0.7206 (multiplicity 1)
Si 0.5778 0.1067 0.8785 (multiplicity 1)
Si 0.5776 0.8741 0.1133 (multiplicity 1)
Si 0.8691 0.4010 0.6400 (multiplicity 1)
Si 0.8704 0.6345 0.4044 (multiplicity 1)
O 0.1111 0.1821 0.0838 (multiplicity 1)
O 0.1339 0.1224 0.2047 (multiplicity 1)
O 0.1783 0.7773 0.0265 (multiplicity 1)
O 0.1799 0.0198 0.7799 (multiplicity 1)
O 0.1980 0.1847 0.2753 (multiplicity 1)
O 0.2668 0.4890 0.7389 (multiplicity 1)
O 0.2683 0.7325 0.4922 (multiplicity 1)
O 0.3243 0.3266 0.4198 (multiplicity 1)
O 0.3481 0.4161 0.3248 (multiplicity 1)
O 0.4486 0.5536 0.9363 (multiplicity 1)
O 0.4520 0.9285 0.5594 (multiplicity 1)
O 0.4590 0.8035 0.8100 (multiplicity 1)
O 0.4722 0.9005 0.2717 (multiplicity 1)
O 0.4734 0.2661 0.9024 (multiplicity 1)
O 0.5062 0.0139 0.0193 (multiplicity 1)
O 0.5247 0.7432 0.0616 (multiplicity 1)
O 0.5276 0.0547 0.7478 (multiplicity 1)
O 0.6384 0.4272 0.6709 (multiplicity 1)
O 0.6399 0.6645 0.4296 (multiplicity 1)
O 0.7072 0.2265 0.1210 (multiplicity 1)
O 0.7146 0.3486 0.0914 (multiplicity 1)
O 0.7305 0.1583 0.4283 (multiplicity 1)
O 0.7347 0.2810 0.3993 (multiplicity 1)
O 0.8072 0.8459 0.0891 (multiplicity 1)
O 0.8081 0.0813 0.8492 (multiplicity 1)
O 0.9206 0.4528 0.7701 (multiplicity 1)
O 0.9221 0.7658 0.4567 (multiplicity 1)
O 0.9388 0.4944 0.4991 (multiplicity 1)
O 0.9731 0.2416 0.6155 (multiplicity 1)
O 0.9738 0.6089 0.2460 (multiplicity 1)
O 0.9874 0.7044 0.7079 (multiplicity 1)
O 0.9930 0.5815 0.9588 (multiplicity 1)
O 0.9972 0.9552 0.5829 (multiplicity 1)

Properties
Crystal system: triclinic
Energy relative to the elements: -2.3093 eV/atom
Raw total energy: -7.11 eV per atom
ΔE to the lowest computed polymorph: 44.5 meV/atom